Here is crystalline K2TbAgCl6 at its relaxed geometry from the Materials Project database. Energies are from GGA-PBE.

Lattice parameters (Å, degrees): 7.5913 7.5913 7.5913 60.00 60.00 60.00
Element x y z (fractional)
K: 0.2500 0.2500 0.2500
K: 0.7500 0.7500 0.7500
Tb: 0.0000 0.0000 0.0000
Ag: 0.5000 0.5000 0.5000
Cl: 0.2458 0.2458 0.7542
Cl: 0.2458 0.7542 0.2458
Cl: 0.2458 0.7542 0.7542
Cl: 0.7542 0.2458 0.2458
Cl: 0.7542 0.2458 0.7542
Cl: 0.7542 0.7542 0.2458

Values from the calculation:
* total moment: 0.00 μB/cell
* calculated total energy: -38.504 eV/f.u.
* energy relative to the elements: -2.141 eV per atom
* volume: 309.3 Å³/f.u.



Here is crystalline Ba2HRu3O10 at its relaxed geometry from the Materials Project database. Energies are from GGA-PBE.

Lattice parameters (Å, degrees): 7.1610 10.0783 12.3379 90.00 90.00 90.00
Element x y z (fractional)
Ba: 0.2225 0.1283 0.3880
Ba: 0.2224 0.6615 0.6065
Ba: 0.2776 0.3385 0.1065
Ba: 0.2775 0.8717 0.8880
Ba: 0.7225 0.3717 0.6120
Ba: 0.7224 0.8385 0.3935
Ba: 0.7776 0.1615 0.8935
Ba: 0.7775 0.6283 0.1120
H: 0.1351 0.3780 0.5237
H: 0.3649 0.6220 0.0237
H: 0.6351 0.1220 0.4763
H: 0.8649 0.8780 0.9763
Ru: 0.0591 0.0061 0.6489
Ru: 0.0678 0.4931 0.3394
Ru: 0.2468 0.2599 0.7452
Ru: 0.2532 0.7401 0.2452
Ru: 0.4322 0.5069 0.8394
Ru: 0.4409 0.9939 0.1489
Ru: 0.5591 0.4939 0.3511
Ru: 0.5678 0.0069 0.6606
Ru: 0.7468 0.2401 0.2548
Ru: 0.7532 0.7599 0.7548
Ru: 0.9322 0.9931 0.1606
Ru: 0.9409 0.5061 0.8511
O: 0.0036 0.3489 0.7668
O: 0.0074 0.8269 0.2251
O: 0.0313 0.9432 0.5118
O: 0.0417 0.4441 0.5011
O: 0.1288 0.0960 0.7925
O: 0.1295 0.5704 0.1958
O: 0.1608 0.1880 0.6082
O: 0.1686 0.6669 0.3827
O: 0.1822 0.0674 0.1541
O: 0.1850 0.5907 0.8430
O: 0.3150 0.4093 0.3430
O: 0.3178 0.9326 0.6541
O: 0.3314 0.3331 0.8827
O: 0.3392 0.8120 0.1082
O: 0.3705 0.4296 0.6958
O: 0.3712 0.9040 0.2925
O: 0.4583 0.5559 0.0011
O: 0.4687 0.0568 0.0118
O: 0.4926 0.1731 0.7251
O: 0.4964 0.6511 0.2668
O: 0.5036 0.1511 0.2332
O: 0.5074 0.6731 0.7749
O: 0.5313 0.5568 0.4882
O: 0.5417 0.0559 0.4989
O: 0.6288 0.4040 0.2075
O: 0.6295 0.9296 0.8042
O: 0.6608 0.3120 0.3918
O: 0.6686 0.8331 0.6173
O: 0.6822 0.4326 0.8459
O: 0.6850 0.9093 0.1570
O: 0.8150 0.0907 0.6570
O: 0.8178 0.5674 0.3459
O: 0.8314 0.1669 0.1173
O: 0.8392 0.6880 0.8918
O: 0.8705 0.0704 0.3042
O: 0.8712 0.5960 0.7075
O: 0.9583 0.9441 0.9989
O: 0.9687 0.4432 0.9882
O: 0.9926 0.3269 0.2749
O: 0.9964 0.8489 0.7332

Values from the calculation:
* total moment: 4.00 μB/cell
* calculated total energy: -108.225 eV/f.u.
* energy relative to the elements: -1.910 eV per atom
* volume: 222.6 Å³/f.u.



Here is crystalline Na3Mg2P5O16 at its relaxed geometry from the Materials Project database. Energies are from GGA-PBE.

Lattice parameters (Å, degrees): 5.2404 6.9432 18.8409 90.00 90.23 90.00
Element x y z (fractional)
Na: 0.0000 0.0342 0.2500
Na: 0.0000 0.9658 0.7500
Na: 0.2477 0.3519 0.4676
Na: 0.2477 0.6481 0.9676
Na: 0.7523 0.3519 0.0324
Na: 0.7523 0.6481 0.5324
Mg: 0.2314 0.1779 0.9080
Mg: 0.2314 0.8221 0.4080
Mg: 0.7686 0.1779 0.5920
Mg: 0.7686 0.8221 0.0920
P: 0.2578 0.4744 0.6300
P: 0.2578 0.5256 0.1300
P: 0.2718 0.1223 0.0830
P: 0.2718 0.8777 0.5830
P: 0.5000 0.2594 0.7500
P: 0.5000 0.7406 0.2500
P: 0.7282 0.1223 0.4170
P: 0.7282 0.8777 0.9170
P: 0.7422 0.4744 0.8700
P: 0.7422 0.5256 0.3700
O: 0.0138 0.4307 0.8907
O: 0.0138 0.5693 0.3907
O: 0.0961 0.0218 0.6191
O: 0.0961 0.9782 0.1191
O: 0.1601 0.2171 0.0162
O: 0.1601 0.7829 0.5162
O: 0.2866 0.2996 0.1437
O: 0.2866 0.7004 0.6437
O: 0.3078 0.4041 0.7102
O: 0.3078 0.5959 0.2102
O: 0.3380 0.1489 0.8012
O: 0.3380 0.8511 0.3012
O: 0.4511 0.0631 0.4257
O: 0.4511 0.9369 0.9257
O: 0.4634 0.3986 0.5810
O: 0.4634 0.6014 0.0810
O: 0.5366 0.3986 0.9190
O: 0.5366 0.6014 0.4190
O: 0.5489 0.0631 0.0743
O: 0.5489 0.9369 0.5743
O: 0.6620 0.1489 0.6988
O: 0.6620 0.8511 0.1988
O: 0.6922 0.4041 0.7898
O: 0.6922 0.5959 0.2898
O: 0.7134 0.2996 0.3563
O: 0.7134 0.7004 0.8563
O: 0.8399 0.2171 0.4838
O: 0.8399 0.7829 0.9838
O: 0.9039 0.0218 0.8809
O: 0.9039 0.9782 0.3809
O: 0.9862 0.4307 0.6093
O: 0.9862 0.5693 0.1093

Values from the calculation:
* total moment: 0.00 μB/cell
* calculated total energy: -175.160 eV/f.u.
* energy relative to the elements: -2.798 eV per atom
* volume: 342.8 Å³/f.u.



Here is crystalline LiZnSb4O8 at its relaxed geometry from the Materials Project database. Energies are from GGA-PBE.

Lattice parameters (Å, degrees): 3.4648 7.9860 8.7605 109.76 100.28 91.88
Element x y z (fractional)
Li: 0.0000 0.0000 0.0000
Zn: 0.8749 0.7489 0.3093
Sb: 0.1940 0.6330 0.9317
Sb: 0.4228 0.1289 0.3396
Sb: 0.5317 0.7801 0.6297
Sb: 0.5852 0.2806 0.9744
O: 0.0813 0.9202 0.7728
O: 0.1181 0.3669 0.8491
O: 0.2865 0.2370 0.1429
O: 0.4229 0.8841 0.3963
O: 0.5892 0.6138 0.7710
O: 0.7079 0.5559 0.0867
O: 0.8534 0.0002 0.2133
O: 0.9460 0.6463 0.4947

Values from the calculation:
* distance to the lowest polymorph of the same formula: 5.4 kJ/mol of atoms
* total moment: 0.00 μB/cell
* calculated total energy: -76.931 eV/f.u.
* energy relative to the elements: -1.654 eV per atom
* volume: 223.3 Å³/f.u.



Here is crystalline PrSiP3 at its relaxed geometry from the Materials Project database. Energies are from GGA-PBE.

Lattice parameters (Å, degrees): 5.8974 25.4964 5.7247 90.00 90.00 90.00
Element x y z (fractional)
Pr: 0.0237 0.0896 0.0000
Pr: 0.0239 0.4021 0.4985
Pr: 0.4763 0.5896 0.5000
Pr: 0.4761 0.9021 0.9985
Pr: 0.5239 0.0979 0.4985
Pr: 0.5237 0.4104 0.0000
Pr: 0.9761 0.5979 0.9985
Pr: 0.9763 0.9104 0.5000
Si: 0.0556 0.7947 0.0823
Si: 0.1155 0.2910 0.0799
Si: 0.3845 0.7910 0.5799
Si: 0.4444 0.2947 0.5823
Si: 0.5556 0.7053 0.0823
Si: 0.6155 0.2090 0.0799
Si: 0.8845 0.7090 0.5799
Si: 0.9444 0.2053 0.5823
P: 0.0167 0.3727 0.9965
P: 0.0190 0.7892 0.4742
P: 0.0276 0.1233 0.4976
P: 0.0826 0.2843 0.4720
P: 0.1841 0.5027 0.2095
P: 0.1874 0.5015 0.8076
P: 0.3126 0.0015 0.3076
P: 0.3159 0.0027 0.7095
P: 0.4174 0.7843 0.9720
P: 0.4724 0.6233 0.9976
P: 0.4810 0.2892 0.9742
P: 0.4833 0.8727 0.4965
P: 0.5167 0.1273 0.9965
P: 0.5190 0.7108 0.4742
P: 0.5276 0.3767 0.4976
P: 0.5826 0.2157 0.4720
P: 0.6841 0.9973 0.2095
P: 0.6874 0.9985 0.8076
P: 0.8126 0.4985 0.3076
P: 0.8159 0.4973 0.7095
P: 0.9174 0.7157 0.9720
P: 0.9724 0.8767 0.9976
P: 0.9810 0.2108 0.9742
P: 0.9833 0.6273 0.4965

Values from the calculation:
* calculated total energy: -29.865 eV/f.u.
* energy relative to the elements: -0.684 eV per atom
* volume: 107.6 Å³/f.u.



Here is crystalline CaS2O10 at its relaxed geometry from the Materials Project database. Energies are from GGA-PBE.

Lattice parameters (Å, degrees): 6.7017 6.7017 17.0201 90.00 90.00 120.00
Element x y z (fractional)
Ca: 0.0000 0.0000 0.0000
Ca: 0.0000 0.0000 0.3333
Ca: 0.0000 0.0000 0.6667
S: 0.0902 0.3954 0.1659
S: 0.3052 0.9098 0.8325
S: 0.3954 0.3052 0.4992
S: 0.6046 0.6948 0.4992
S: 0.6948 0.0902 0.8325
S: 0.9098 0.6046 0.1659
O: 0.0088 0.7566 0.0961
O: 0.0171 0.2537 0.2384
O: 0.1845 0.6852 0.6601
O: 0.1873 0.5046 0.6663
O: 0.2330 0.6687 0.8290
O: 0.2366 0.9829 0.9051
O: 0.2434 0.2522 0.4294
O: 0.2522 0.0088 0.7627
O: 0.2537 0.2366 0.5718
O: 0.3148 0.4992 0.9935
O: 0.3173 0.8127 0.3330
O: 0.3313 0.5643 0.1623
O: 0.4357 0.7670 0.4957
O: 0.4954 0.6827 0.9997
O: 0.4992 0.1845 0.3268
O: 0.5008 0.8155 0.3268
O: 0.5046 0.3173 0.9997
O: 0.5643 0.2330 0.4957
O: 0.6687 0.4357 0.1623
O: 0.6827 0.1873 0.3330
O: 0.6852 0.5008 0.9935
O: 0.7463 0.7634 0.5718
O: 0.7478 0.9912 0.7627
O: 0.7566 0.7478 0.4294
O: 0.7634 0.0171 0.9051
O: 0.7670 0.3313 0.8290
O: 0.8127 0.4954 0.6663
O: 0.8155 0.3148 0.6601
O: 0.9829 0.7463 0.2384
O: 0.9912 0.2434 0.0961

Values from the calculation:
* total moment: 6.03 μB/cell
* calculated total energy: -74.234 eV/f.u.
* energy relative to the elements: -1.237 eV per atom
* volume: 220.7 Å³/f.u.



Here is crystalline Tm2Si2O7 at its relaxed geometry from the Materials Project database. Energies are from GGA-PBE.

Lattice parameters (Å, degrees): 5.6265 5.6265 4.7649 97.30 97.30 105.26
Element x y z (fractional)
Tm: 0.1919 0.8081 0.0000
Tm: 0.8081 0.1919 0.0000
Si: 0.2811 0.2811 0.5904
Si: 0.7189 0.7189 0.4096
O: 0.1136 0.4159 0.7813
O: 0.1172 0.1172 0.2836
O: 0.4159 0.1136 0.7813
O: 0.5000 0.5000 0.5000
O: 0.5841 0.8864 0.2187
O: 0.8828 0.8828 0.7164
O: 0.8864 0.5841 0.2187

Values from the calculation:
* calculated total energy: -90.488 eV/f.u.
* energy relative to the elements: -3.714 eV per atom
* volume: 142.3 Å³/f.u.



Here is crystalline ThNp3 at its relaxed geometry from the Materials Project database. Energies are from GGA-PBE.

Lattice parameters (Å, degrees): 4.5979 4.5979 8.9348 90.00 90.00 90.00
Element x y z (fractional)
Th: 0.0000 0.0000 0.0000
Th: 0.5000 0.5000 0.5000
Np: 0.0000 0.0000 0.5000
Np: 0.0000 0.5000 0.2500
Np: 0.0000 0.5000 0.7500
Np: 0.5000 0.0000 0.2500
Np: 0.5000 0.0000 0.7500
Np: 0.5000 0.5000 0.0000

Values from the calculation:
* total moment: 19.32 μB/cell
* calculated total energy: -43.926 eV/f.u.
* energy relative to the elements: 0.583 eV per atom
* volume: 94.4 Å³/f.u.



Here is crystalline K2MgB4H16 at its relaxed geometry from the Materials Project database. Energies are from GGA-PBE.

Lattice parameters (Å, degrees): 8.2891 9.8731 14.2796 90.00 115.35 90.00
Element x y z (fractional)
K: 0.0149 0.0199 0.2102
K: 0.0149 0.4801 0.7102
K: 0.2775 0.6547 0.0438
K: 0.2775 0.8453 0.5438
K: 0.7225 0.1547 0.4562
K: 0.7225 0.3453 0.9562
K: 0.9851 0.5199 0.2898
K: 0.9851 0.9801 0.7898
Mg: 0.3590 0.2124 0.0835
Mg: 0.3590 0.2876 0.5835
Mg: 0.6410 0.7124 0.4165
Mg: 0.6410 0.7876 0.9165
B: 0.1625 0.1662 0.6394
B: 0.1625 0.3338 0.1394
B: 0.2772 0.5260 0.5777
B: 0.2772 0.9740 0.0777
B: 0.3097 0.1554 0.4290
B: 0.3097 0.3446 0.9290
B: 0.3184 0.7199 0.3163
B: 0.3184 0.7801 0.8163
B: 0.6816 0.2199 0.1837
B: 0.6816 0.2801 0.6837
B: 0.6903 0.6554 0.0710
B: 0.6903 0.8446 0.5710
B: 0.7228 0.0260 0.9223
B: 0.7228 0.4740 0.4223
B: 0.8375 0.6662 0.8606
B: 0.8375 0.8338 0.3606
H: 0.0439 0.1846 0.6669
H: 0.0439 0.3154 0.1669
H: 0.1089 0.2102 0.5500
H: 0.1089 0.2898 0.0500
H: 0.1582 0.1149 0.4046
H: 0.1582 0.3851 0.9046
H: 0.1763 0.6040 0.5923
H: 0.1763 0.8960 0.0923
H: 0.1871 0.0459 0.0019
H: 0.1871 0.4541 0.5019
H: 0.2024 0.0472 0.6422
H: 0.2024 0.4528 0.1422
H: 0.2135 0.7176 0.8394
H: 0.2135 0.7824 0.3394
H: 0.2424 0.6556 0.2363
H: 0.2424 0.8444 0.7363
H: 0.2933 0.2294 0.7003
H: 0.2933 0.2706 0.2003
H: 0.3099 0.2191 0.9325
H: 0.3099 0.2809 0.4325
H: 0.3468 0.0433 0.1569
H: 0.3468 0.4567 0.6569
H: 0.3670 0.1257 0.3660
H: 0.3670 0.3743 0.8660
H: 0.3949 0.5821 0.5629
H: 0.3949 0.9179 0.0629
H: 0.3974 0.6382 0.3862
H: 0.3974 0.8618 0.8862
H: 0.4084 0.1079 0.5145
H: 0.4084 0.3921 0.0145
H: 0.4192 0.6968 0.8043
H: 0.4192 0.8032 0.3043
H: 0.5808 0.1968 0.6957
H: 0.5808 0.3032 0.1957
H: 0.5916 0.6079 0.9855
H: 0.5916 0.8921 0.4855
H: 0.6026 0.1382 0.1138
H: 0.6026 0.3618 0.6138
H: 0.6051 0.0821 0.9371
H: 0.6051 0.4179 0.4371
H: 0.6330 0.6257 0.1340
H: 0.6330 0.8743 0.6340
H: 0.6532 0.5433 0.3431
H: 0.6532 0.9567 0.8431
H: 0.6901 0.7191 0.5675
H: 0.6901 0.7809 0.0675
H: 0.7067 0.7294 0.7997
H: 0.7067 0.7706 0.2997
H: 0.7576 0.1556 0.2637
H: 0.7576 0.3444 0.7637
H: 0.7865 0.2176 0.6606
H: 0.7865 0.2824 0.1606
H: 0.7976 0.5472 0.8578
H: 0.7976 0.9528 0.3578
H: 0.8129 0.5459 0.4981
H: 0.8129 0.9541 0.9981
H: 0.8237 0.1040 0.9077
H: 0.8237 0.3960 0.4077
H: 0.8418 0.6149 0.0954
H: 0.8418 0.8851 0.5954
H: 0.8911 0.7102 0.9500
H: 0.8911 0.7898 0.4500
H: 0.9561 0.6846 0.8331
H: 0.9561 0.8154 0.3331

Values from the calculation:
* total moment: 0.13 μB/cell
* calculated total energy: -91.624 eV/f.u.
* energy relative to the elements: -0.420 eV per atom
* volume: 264.0 Å³/f.u.



Here is crystalline YUO4 at its relaxed geometry from the Materials Project database. Energies are from GGA-PBE.

Lattice parameters (Å, degrees): 6.5595 6.5595 6.5595 131.70 131.70 70.71
Element x y z (fractional)
Y: 0.3750 0.6250 0.7500
Y: 0.6250 0.3750 0.2500
U: 0.1250 0.8750 0.2500
U: 0.8750 0.1250 0.7500
O: 0.0000 0.2374 0.2374
O: 0.0000 0.7626 0.7626
O: 0.2374 0.0000 0.7374
O: 0.2374 0.5000 0.2374
O: 0.5000 0.2374 0.7374
O: 0.5000 0.7626 0.2626
O: 0.7626 0.0000 0.2626
O: 0.7626 0.5000 0.7626

Values from the calculation:
* calculated total energy: -58.204 eV/f.u.
* energy relative to the elements: -3.900 eV per atom
* volume: 77.1 Å³/f.u.



Here is crystalline LuBr at its relaxed geometry from the Materials Project database. Energies are from GGA-PBE.

Lattice parameters (Å, degrees): 3.6069 3.6069 9.8717 90.00 90.00 120.00
Element x y z (fractional)
Lu: 0.3333 0.6667 0.0000
Lu: 0.6667 0.3333 0.5000
Br: 0.3333 0.6667 0.7130
Br: 0.6667 0.3333 0.2130

Values from the calculation:
* total moment: 0.00 μB/cell
* calculated total energy: -8.015 eV/f.u.
* energy relative to the elements: -1.195 eV per atom
* volume: 55.6 Å³/f.u.